VASP calculation (GGA-PBE) on crystalline B at its relaxed geometry.

Computed properties:
The space-group type is P6/mmm. The magnetization comes out at 0.000 μB per atom. The energy above the most stable polymorph in this dataset comes out at 707.3 meV per atom. As for the crystal system: hexagonal.

a = 1.7113 Å, b = 1.7113 Å, c = 3.7358 Å
α = 90.00°, β = 90.00°, γ = 120.00°
With the nearest neighbours (Å) after each atom.
Element x y z (fractional)
1 B 0.0000 0.0000 0.0000  6 B 1.71


VASP calculation (GGA-PBE) on crystalline CeCoSi at its relaxed geometry.

Computed properties:
The space-group type is P4/nmm. As for the crystal system: tetragonal.

a = 4.0004 Å, b = 4.0004 Å, c = 6.8278 Å
α = 90.00°, β = 90.00°, γ = 90.00°
With the nearest neighbours (Å) after each atom.
Element x y z (fractional)
1 Co 0.0000 0.0000 0.0000  4 Si 2.33
2 Co 0.5000 0.5000 0.0000  4 Si 2.33
3 Ce 0.0000 0.5000 0.3229  4 Co 2.98, 4 Si 3.00
4 Ce 0.5000 0.0000 0.6771  4 Co 2.98, 4 Si 3.00
5 Si 0.0000 0.5000 0.8238  4 Co 2.33
6 Si 0.5000 0.0000 0.1762  4 Co 2.33


VASP calculation (GGA-PBE) on crystalline CuPO5 at its relaxed geometry.

Computed properties:
The space-group type is P2_12_12_1. The magnetization comes out at 0.571 μB per atom. The energy above the most stable polymorph in this dataset comes out at 340.7 meV per atom. As for the crystal system: orthorhombic.

a = 7.0545 Å, b = 7.5470 Å, c = 9.3468 Å
α = 90.00°, β = 90.00°, γ = 90.00°
With the nearest neighbours (Å) after each atom.
Element x y z (fractional)
1 O 0.4513 0.4649 0.1402  1 P 1.49
2 P 0.5856 0.3195 0.1012  3 O 1.48-1.49
3 O 0.4864 0.9628 0.7970  1 Cu 1.76
4 O 0.1090 0.2480 0.0461  1 P 1.48
5 Cu 0.7930 0.0912 0.3741  2 O 1.75-1.76
6 O 0.2024 0.6712 0.9501  1 Cu 1.75
7 O 0.3910 0.7520 0.5461  1 P 1.48
8 O 0.0487 0.5351 0.6402  1 P 1.49
9 Cu 0.2070 0.5912 0.1259  2 O 1.75-1.76
10 O 0.2041 0.2451 0.7780  1 P 1.49
11 O 0.6090 0.2520 0.9539  1 P 1.48
12 P 0.9144 0.6805 0.6012  3 O 1.48-1.49
13 O 0.5487 0.9649 0.3598  1 P 1.49
14 O 0.7959 0.7451 0.7220  1 P 1.49
15 O 0.7976 0.1712 0.5499  1 Cu 1.75
16 O 0.0136 0.0372 0.2970  1 Cu 1.76
17 Cu 0.2930 0.4088 0.6259  2 O 1.75-1.76
18 O 0.9513 0.0351 0.8598  1 P 1.49
19 O 0.9864 0.5372 0.2030  1 Cu 1.76
20 Cu 0.7070 0.9088 0.8741  2 O 1.75-1.76
21 O 0.2976 0.3288 0.4501  1 Cu 1.75
22 O 0.2959 0.7549 0.2780  1 P 1.49
23 P 0.0856 0.1805 0.8988  3 O 1.48-1.49
24 P 0.4144 0.8195 0.3988  3 O 1.48-1.49
25 O 0.7041 0.2549 0.2220  1 P 1.49
26 O 0.5136 0.4628 0.7030  1 Cu 1.76
27 O 0.7024 0.8288 0.0499  1 Cu 1.75
28 O 0.8910 0.7480 0.4539  1 P 1.48


VASP calculation (GGA-PBE) on crystalline Ce3MnAlS7 at its relaxed geometry.

Computed properties:
The space-group type is P6_3. The magnetization comes out at 0.626 μB per atom. As for the crystal system: hexagonal.

a = 10.0622 Å, b = 10.0622 Å, c = 5.9989 Å
α = 90.00°, β = 90.00°, γ = 120.00°
With the nearest neighbours (Å) after each atom.
Element x y z (fractional)
1 Ce 0.2317 0.8592 0.2439  7 S 2.84-3.02
2 S 0.6667 0.3333 0.5349  1 Al 2.23
3 S 0.5198 0.0989 0.0165  1 Al 2.24
4 S 0.2385 0.1462 0.2888  2 Mn 2.52-2.64
5 S 0.0923 0.2385 0.7888  2 Mn 2.52-2.64
6 Mn 0.0000 0.0000 0.0216  6 S 2.52-2.64
7 S 0.4208 0.5198 0.5165  1 Al 2.24
8 S 0.3333 0.6667 0.0349  1 Al 2.23
9 Al 0.6667 0.3333 0.1626  4 S 2.23-2.24
10 Al 0.3333 0.6667 0.6626  4 S 2.23-2.24
11 S 0.4802 0.9011 0.5165  1 Al 2.24
12 Ce 0.1408 0.3724 0.2439  7 S 2.84-3.02
13 Ce 0.6276 0.7683 0.2439  7 S 2.84-3.02
14 S 0.7615 0.8538 0.7888  2 Mn 2.52-2.64
15 Ce 0.7683 0.1408 0.7439  7 S 2.84-3.02
16 Ce 0.8592 0.6276 0.7439  7 S 2.84-3.02
17 S 0.1462 0.9077 0.7888  2 Mn 2.52-2.64
18 S 0.0989 0.5792 0.5165  1 Al 2.24
19 Mn 0.0000 0.0000 0.5216  6 S 2.52-2.64
20 S 0.5792 0.4802 0.0165  1 Al 2.24
21 S 0.9077 0.7615 0.2888  2 Mn 2.52-2.64
22 S 0.8538 0.0923 0.2888  2 Mn 2.52-2.64
23 Ce 0.3724 0.2317 0.7439  7 S 2.84-3.02
24 S 0.9011 0.4208 0.0165  1 Al 2.24


VASP calculation (GGA-PBE) on crystalline Na7CaIn3P6O24 at its relaxed geometry.

Computed properties:
The space-group type is P1. The magnetization comes out at 0.000 μB per atom. As for the crystal system: triclinic.

a = 9.2133 Å, b = 9.2149 Å, c = 22.8482 Å
α = 89.92°, β = 90.01°, γ = 119.98°
With the nearest neighbours (Å) after each atom.
Element x y z (fractional)
1 Na 0.3286 0.0330 0.4151  6 O 2.45-2.72
2 O 0.9037 0.5466 0.1414  1 P 1.52
3 Na 0.3714 0.0048 0.7486  6 O 2.49-2.76
4 O 0.6404 0.5023 0.9223  1 P 1.56
5 In 0.0003 0.0072 0.1506  6 O 2.11-2.23
6 O 0.3700 0.4782 0.3602  1 P 1.56
7 P 0.0325 0.3660 0.9147  4 O 1.54-1.57
8 Na 0.9953 0.3657 0.7490  6 O 2.48-2.70
9 O 0.5186 0.8868 0.3628  1 P 1.56
10 O 0.0348 0.8124 0.6931  1 P 1.56
11 O 0.3113 0.8310 0.2534  1 P 1.58
12 O 0.5195 0.6891 0.2532  1 P 1.58
13 P 0.6297 0.6653 0.9168  4 O 1.55-1.57
14 O 0.8199 0.0000 0.0852  1 P 1.56
15 O 0.3441 0.8487 0.5772  1 P 1.57
16 O 0.1130 0.6316 0.3630  1 P 1.56
17 O 0.9788 0.2052 0.3094  1 P 1.53
18 P 0.3396 0.3734 0.4172  4 O 1.54-1.57
19 O 0.8023 0.9855 0.4159  1 P 1.54
20 Na 0.6671 0.6951 0.0841  4 O 2.43-2.57
21 P 0.2993 0.9956 0.2506  4 O 1.53-1.58
22 O 0.1881 0.9685 0.1953  1 P 1.57
23 P 0.0052 0.7076 0.7502  4 O 1.54-1.57
24 O 0.1514 0.4510 0.9665  1 P 1.54
25 O 0.4677 0.3635 0.1372  1 P 1.53
26 O 0.1426 0.4947 0.5769  1 P 1.56
27 O 0.1826 0.9955 0.9129  1 P 1.56
28 In 0.3297 0.6662 0.8204  6 O 2.13-2.24
29 In 0.9998 0.9935 0.8519  6 O 2.07-2.20
30 Na 0.6376 0.0051 0.2464  5 O 2.44-2.66
31 O 0.3651 0.8903 0.8608  1 P 1.56
32 O 0.1051 0.4658 0.8568  1 P 1.56
33 O 0.4472 0.3034 0.0263  1 P 1.57
34 Na 0.7049 0.6719 0.4146  5 O 2.47-2.63
35 P 0.3611 0.0268 0.5823  4 O 1.53-1.57
36 O 0.5427 0.8569 0.4735  1 P 1.55
37 Na 0.3670 0.3616 0.2465  5 O 2.44-2.66
38 O 0.6727 0.5230 0.2458  1 P 1.54
39 In 0.0066 0.0064 0.6500  6 O 2.11-2.23
40 O 0.8527 0.3398 0.9213  1 P 1.56
41 O 0.9870 0.8194 0.0864  1 P 1.58
42 P 0.7029 0.9945 0.7518  4 O 1.55-1.57
43 O 0.5039 0.8481 0.0753  1 P 1.57
44 O 0.5216 0.6343 0.8604  1 P 1.57
45 O 0.9773 0.1677 0.5864  1 P 1.56
46 O 0.1781 0.2158 0.6994  1 P 1.55
47 O 0.8574 0.3029 0.5272  1 P 1.57
48 P 0.6650 0.0261 0.0812  4 O 1.53-1.57
49 O 0.7820 0.9659 0.6957  1 P 1.56
50 Na 0.6668 0.3333 0.3292  6 O 2.57-2.71
51 Na 0.9672 0.2957 0.4145  5 O 2.48-2.62
52 O 0.4767 0.1501 0.2455  1 P 1.54
53 O 0.6403 0.1428 0.4225  1 P 1.57
54 O 0.1906 0.1681 0.0857  1 P 1.56
55 O 0.2221 0.0203 0.3065  1 P 1.53
56 O 0.6892 0.1335 0.0253  1 P 1.56
57 O 0.6976 0.5587 0.5279  1 P 1.57
58 P 0.6690 0.6408 0.5835  4 O 1.52-1.58
59 O 0.3096 0.4591 0.4697  1 P 1.54
60 Na 0.0000 0.9997 0.0028  6 O 2.49-2.69
61 O 0.8327 0.8181 0.5859  1 P 1.58
62 O 0.1682 0.4813 0.2540  1 P 1.58
63 O 0.8928 0.3617 0.6381  1 P 1.53
64 O 0.3119 0.8614 0.9718  1 P 1.54
65 O 0.4986 0.1455 0.9213  1 P 1.57
66 Na 0.9943 0.6322 0.2454  5 O 2.45-2.61
67 O 0.8574 0.4979 0.4231  1 P 1.57
68 Na 0.6656 0.9707 0.5836  4 O 2.40-2.59
69 In 0.6634 0.3334 0.4879  6 O 2.13-2.23
70 Na 0.3052 0.9708 0.0839  4 O 2.41-2.60
71 P 0.6261 0.9661 0.4188  4 O 1.54-1.57
72 Na 0.3328 0.6552 0.6642  6 O 2.56-2.71
73 O 0.5028 0.3608 0.4226  1 P 1.57
74 P 0.0342 0.6603 0.4190  4 O 1.54-1.57
75 In 0.3334 0.6664 0.3182  6 O 2.15-2.20
76 In 0.3241 0.6606 0.0144  6 O 2.10-2.19
77 In 0.3333 0.6608 0.5168  6 O 2.06-2.18
78 O 0.8494 0.3248 0.2460  1 P 1.54
79 Ca 0.6704 0.3336 0.1780  6 O 2.22-2.33
80 Na 0.3330 0.3006 0.9191  6 O 2.44-2.72
81 P 0.9722 0.6412 0.0844  4 O 1.52-1.58
82 O 0.1527 0.6694 0.0762  1 P 1.56
83 O 0.0165 0.1881 0.9119  1 P 1.57
84 O 0.2133 0.1915 0.8093  1 P 1.55
85 P 0.2918 0.2977 0.7534  4 O 1.54-1.57
86 Na 0.6985 0.0334 0.9199  5 O 2.45-2.60
87 P 0.9689 0.3326 0.5829  4 O 1.53-1.57
88 Na 0.6770 0.3443 0.8355  6 O 2.56-2.70
89 O 0.6826 0.1509 0.7481  1 P 1.55
90 O 0.8122 0.0213 0.8067  1 P 1.55
91 O 0.3525 0.4956 0.0746  1 P 1.56
92 Na 0.0289 0.6960 0.5840  5 O 2.43-2.71
93 O 0.5473 0.6956 0.9709  1 P 1.55
94 O 0.7980 0.7779 0.3066  1 P 1.54
95 O 0.9756 0.7932 0.8029  1 P 1.54
96 O 0.1805 0.0010 0.5856  1 P 1.56
97 O 0.5171 0.6703 0.5777  1 P 1.56
98 Na 0.6342 0.6294 0.7482  6 O 2.50-2.77
99 O 0.6450 0.5409 0.6392  1 P 1.52
100 P 0.0046 0.3037 0.2525  4 O 1.53-1.58
101 O 0.0357 0.2173 0.1993  1 P 1.56
102 O 0.6349 0.1001 0.1365  1 P 1.53
103 P 0.6959 0.7005 0.2507  4 O 1.54-1.58
104 O 0.8498 0.5303 0.7475  1 P 1.54
105 O 0.1845 0.1961 0.4151  1 P 1.54
106 Ca 0.9998 0.9996 0.3496  6 O 2.19-2.32
107 O 0.1686 0.6950 0.7554  1 P 1.57
108 O 0.5258 0.8319 0.7560  1 P 1.57
109 O 0.4665 0.1024 0.6373  1 P 1.53
110 P 0.3360 0.9686 0.9170  4 O 1.54-1.57
111 O 0.4427 0.1326 0.5260  1 P 1.56
112 O 0.8535 0.5552 0.0313  1 P 1.56
113 O 0.1438 0.6870 0.4737  1 P 1.55
114 O 0.0142 0.8167 0.4159  1 P 1.54
115 Na 0.0101 0.0106 0.5015  6 O 2.51-2.66
116 In 0.6765 0.3403 0.9863  6 O 2.10-2.28
117 O 0.7801 0.8119 0.1954  1 P 1.57
118 Ca 0.6630 0.3328 0.6810  6 O 2.22-2.34
119 Na 0.3219 0.6551 0.1637  6 O 2.56-2.66
120 O 0.4677 0.3168 0.7486  1 P 1.54
121 O 0.8025 0.8291 0.9120  1 P 1.56
122 P 0.3637 0.3333 0.0816  4 O 1.53-1.57
123 O 0.3083 0.4758 0.7563  1 P 1.57


VASP calculation (GGA-PBE) on crystalline PuAs at its relaxed geometry.

Computed properties:
The space-group type is Pm-3m. The magnetization comes out at 2.504 μB per atom. As for the crystal system: cubic.

a = 3.5258 Å, b = 3.5258 Å, c = 3.5258 Å
α = 90.00°, β = 90.00°, γ = 90.00°
With the nearest neighbours (Å) after each atom.
Element x y z (fractional)
1 As 0.0000 0.0000 0.0000  8 Pu 3.05
2 Pu 0.5000 0.5000 0.5000  8 As 3.05


We obtain energy of formation values of 0.707 -1.936 -7.077 -22.635 -106.847 -1.708 eV per formula unit for the records listed above, in that order.
We obtain total DFT energy (no corrections) values of -5.972 -6.825 -5.413 -6.565 -6.368 -10.318 eV/atom for the records listed above, in that order.